Record 1
Density functional theory data (PBE) for a relaxed structure of SrCaHf4O12.

Calculated formation energy: -3.259 eV/atom
Mass density: 6.297 g/cm3
Symmetry: Amm2
Energy: -153.32 eV/cell

Cell: 5.768 5.768 8.193 Å, 90.00 90.00 89.86°
Atoms (fractional coordinates):
Hf1 0.513 0.013 0.755
Hf2 0.513 0.013 0.245
Hf3 0.987 0.487 0.755
Hf4 0.987 0.487 0.245
O1 0.486 0.935 0.000
O2 0.695 0.305 0.805
O3 0.273 0.727 0.732
O4 0.065 0.514 0.000
O5 0.695 0.305 0.195
O6 0.214 0.211 0.736
O7 0.538 0.024 0.500
O8 0.976 0.462 0.500
O9 0.273 0.727 0.268
O10 0.214 0.211 0.264
O11 0.789 0.786 0.736
O12 0.789 0.786 0.264
Sr1 0.029 0.971 0.500
Ca1 0.474 0.526 0.000

***

Record 2
Density functional theory data (PBE) for a relaxed structure of Ga3Pd5.

Calculated formation energy: -0.637 eV/atom
Mass density: 10.262 g/cm3
Symmetry: Pbam
Energy: -80.15 eV/cell

Cell: 4.081 5.494 10.700 Å, 90.00 90.00 90.00°
Atoms (fractional coordinates):
Pd1 0.000 0.808 0.896
Pd2 0.500 0.500 0.000
Pd3 0.500 0.583 0.734
Pd4 0.500 0.917 0.234
Pd5 0.000 0.692 0.396
Pd6 0.500 0.000 0.500
Pd7 0.500 0.083 0.766
Pd8 0.000 0.308 0.604
Pd9 0.000 0.192 0.104
Pd10 0.500 0.417 0.266
Ga1 0.500 0.000 0.000
Ga2 0.000 0.338 0.854
Ga3 0.500 0.500 0.500
Ga4 0.000 0.662 0.146
Ga5 0.000 0.838 0.646
Ga6 0.000 0.162 0.354

***

Record 3
Density functional theory data (PBE) for a relaxed structure of Mg14CoW.

Calculated formation energy: 0.196 eV/atom
Energy above the lowest structure with this stoichiometry: 0.0 kJ per mole of atoms
Mass density: 2.975 g/cm3
Symmetry: Amm2
Energy: -39.33 eV/cell

Cell: 6.239 6.055 9.850 Å, 90.00 90.00 119.03°
Atoms (fractional coordinates):
Mg1 0.326 0.663 0.895
Mg2 0.664 0.829 0.125
Mg3 0.168 0.334 0.625
Mg4 0.847 0.673 0.371
Mg5 0.853 0.177 0.888
Mg6 0.847 0.673 0.879
Mg7 0.664 0.336 0.125
Mg8 0.326 0.663 0.355
Mg9 0.663 0.833 0.625
Mg10 0.853 0.177 0.362
Mg11 0.326 0.164 0.355
Mg12 0.169 0.834 0.625
Mg13 0.663 0.331 0.625
Mg14 0.326 0.164 0.895
W1 0.146 0.823 0.125
Co1 0.158 0.329 0.125

***

Record 4
Density functional theory data (PBE) for a relaxed structure of GaI3.

Calculated formation energy: -0.784 eV/atom
Mass density: 3.645 g/cm3
Symmetry: P2_1/c
Energy: -38.40 eV/cell

Cell: 6.694 10.151 12.712 Å, 71.86 90.00 90.00°
Atoms (fractional coordinates):
I1 0.223 0.676 0.202
I2 0.267 0.318 0.545
I3 0.211 0.999 0.890
I4 0.767 0.682 0.955
I5 0.711 0.001 0.610
I6 0.777 0.324 0.798
I7 0.733 0.682 0.455
I8 0.289 0.999 0.390
I9 0.723 0.324 0.298
I10 0.233 0.318 0.045
I11 0.277 0.676 0.702
I12 0.789 0.001 0.110
Ga1 0.997 0.809 0.047
Ga2 0.503 0.809 0.547
Ga3 0.497 0.191 0.453
Ga4 0.003 0.191 0.953